# 1
A geometry-optimized CdB2O4 structure. Source: Materials Project, functional PBE.

Results
Energy relative to the elements in eV/atom: -2.45
Excess energy over the best structure of this formula in the dataset in meV/atom: 0
Spin magnetization in μB per formula unit: 0.0

Cell: 8.300 14.004 5.083 Å, 90.00 90.00 90.00°
Space group Pccn (No. 56)
Inequivalent atoms, fractional coordinates:
Cd  0.118  0.146  0.114 x8
B  0.034  0.639  0.876 x8
B  0.244  0.551  0.135 x8
O  0.094  0.609  0.115 x8
O  0.108  0.188  0.635 x8
O  0.114  0.616  0.648 x8
O  0.240  0.006  0.885 x8



# 2
A geometry-optimized Rb3CdB5O10 structure. Source: Materials Project, functional PBE.

Results
Energy relative to the elements in eV/atom: -2.60
Spin magnetization in μB per formula unit: 0.0

Cell: 8.028 20.491 8.478 Å, 90.00 121.08 90.00°
Space group P2_1/c (No. 14)
Inequivalent atoms, fractional coordinates:
Rb  0.172  0.079  0.017 x4
Rb  0.187  0.064  0.477 x4
Rb  0.211  0.746  0.204 x4
Cd  0.328  0.608  0.005 x4
B  0.118  0.191  0.712 x4
B  0.317  0.581  0.359 x4
B  0.318  0.578  0.652 x4
B  0.355  0.219  0.332 x4
B  0.479  0.164  0.889 x4
O  0.068  0.672  0.872 x4
O  0.160  0.242  0.234 x4
O  0.253  0.553  0.473 x4
O  0.255  0.554  0.192 x4
O  0.268  0.546  0.762 x4
O  0.270  0.146  0.781 x4
O  0.384  0.153  0.351 x4
O  0.424  0.636  0.705 x4
O  0.437  0.635  0.424 x4
O  0.495  0.735  0.597 x4



# 3
A geometry-optimized SmCdB5O10 structure. Source: Materials Project, functional PBE.

Results
Energy relative to the elements in eV/atom: -2.89
Spin magnetization in μB per formula unit: 0.0

Cell: 8.709 7.980 12.756 Å, 90.00 130.97 90.00°
Space group P2_1/c (No. 14)
Inequivalent atoms, fractional coordinates:
Sm  0.048  0.183  0.240 x4
Cd  0.473  0.595  0.871 x4
B  0.078  0.676  0.595 x4
B  0.145  0.606  0.989 x4
B  0.279  0.030  0.058 x4
B  0.332  0.574  0.248 x4
B  0.471  0.175  0.906 x4
O  0.023  0.734  0.973 x4
O  0.103  0.116  0.927 x4
O  0.123  0.560  0.877 x4
O  0.185  0.705  0.218 x4
O  0.218  0.534  0.637 x4
O  0.287  0.532  0.117 x4
O  0.307  0.081  0.798 x4
O  0.332  0.617  0.512 x4
O  0.414  0.171  0.419 x4
O  0.459  0.138  0.150 x4



# 4
A geometry-optimized SrCdB2O5 structure. Source: Materials Project, functional PBE.

Results
Energy relative to the elements in eV/atom: -2.73
Spin magnetization in μB per formula unit: 0.0

Cell: 5.859 12.817 12.180 Å, 90.00 90.00 90.00°
Space group Pbca (No. 61)
Inequivalent atoms, fractional coordinates:
Sr  0.114  0.088  0.119 x8
Cd  0.129  0.235  0.867 x8
B  0.122  0.512  0.878 x8
B  0.126  0.173  0.612 x8
O  0.003  0.230  0.688 x8
O  0.090  0.065  0.602 x8
O  0.103  0.084  0.330 x8
O  0.176  0.057  0.908 x8
O  0.216  0.722  0.545 x8



# 5
A geometry-optimized SrCdB2O5 structure. Source: Materials Project, functional PBE.

Results
Energy relative to the elements in eV/atom: -2.73

Cell: 7.729 10.321 11.266 Å, 90.00 99.08 90.00°
Space group C2/c (No. 15)
Inequivalent atoms, fractional coordinates:
Sr  0.000  0.133  0.250 x4
Sr  0.000  0.316  0.750 x4
Cd  0.165  0.402  0.443 x8
B  0.093  0.137  0.004 x8
B  0.228  0.403  0.169 x8
O  0.060  0.196  0.476 x8
O  0.114  0.117  0.881 x8
O  0.122  0.494  0.628 x8
O  0.207  0.322  0.260 x8
O  0.217  0.096  0.096 x8



# 6
A geometry-optimized ZnCdB2O5 structure. Source: Materials Project, functional PBE.

Results
Energy relative to the elements in eV/atom: -2.30
Spin magnetization in μB per formula unit: 0.0

Cell: 3.478 6.503 17.949 Å, 90.00 90.00 90.00°
Space group P2_12_12_1 (No. 19)
Inequivalent atoms, fractional coordinates:
Zn  0.016  0.100  0.208 x4
Cd  0.121  0.518  0.974 x4
B  0.016  0.645  0.615 x4
B  0.151  0.699  0.144 x4
O  0.019  0.339  0.851 x4
O  0.022  0.797  0.207 x4
O  0.108  0.116  0.956 x4
O  0.129  0.780  0.074 x4
O  0.206  0.499  0.658 x4